[1]
A plane-wave DFT calculation with PBE was carried out for crystalline TiSiRu at its relaxed geometry.

Its crystal system is orthorhombic. For the uncorrected energy, the calculation gives -100.2 eV/cell.

The structure belongs to space group Pnma (No. 62); the cell edges are 6.0991, 3.9542 and 7.2684 Å and the angles 90.00°, 90.00° and 90.00°. The inequivalent atoms are Ti at (0.0197, 0.2500, 0.1863), Si at (0.2241, 0.7500, 0.3758) and Ru at (0.1651, 0.2500, 0.5559).


[2]
A plane-wave DFT calculation with PBE was carried out for crystalline HfScRh2 at its relaxed geometry.

Its crystal system is cubic. For the uncorrected energy, the calculation gives -139.4 eV/cell.

The structure belongs to space group Fm-3m (No. 225); the cell edges are 6.5120, 6.5120 and 6.5120 Å and the angles 90.00°, 90.00° and 90.00°. The inequivalent atoms are Hf at (0.0000, 0.0000, 0.0000), Sc at (0.0000, 0.0000, 0.5000) and Rh at (0.2500, 0.2500, 0.2500).


[3]
A plane-wave DFT calculation with PBE was carried out for crystalline KMg6Sn at its relaxed geometry.

Its crystal system is orthorhombic. For the uncorrected energy, the calculation gives -27.8 eV/cell.

The structure belongs to space group Amm2 (No. 38); the cell edges are 5.1995, 6.6549 and 12.2683 Å and the angles 90.00°, 90.00° and 90.00°. The inequivalent atoms are K at (0.0000, 0.0000, 0.0000), Mg at (0.0000, 0.2465, 0.2482), Mg at (0.5000, 0.0000, 0.1749), Mg at (0.5000, 0.0000, 0.6613), Mg at (0.5000, 0.2347, 0.4086) and Sn at (0.0000, 0.0000, 0.4858).


[4]
A plane-wave DFT calculation with PBE was carried out for crystalline Co3Sn at its relaxed geometry.

Its crystal system is hexagonal. For the uncorrected energy, the calculation gives -49.9 eV/cell.

The structure belongs to space group P6_3/mmc (No. 194); the cell edges are 5.3194, 5.3194 and 4.2312 Å and the angles 90.00°, 90.00° and 120.00°. The inequivalent atoms are Co at (0.1580, 0.3160, 0.2500) and Sn at (0.3333, 0.6667, 0.7500).


[5]
A plane-wave DFT calculation with PBE was carried out for crystalline SrCdO2 at its relaxed geometry.

Its crystal system is tetragonal. For the uncorrected energy, the calculation gives -19.9 eV/cell.

The structure belongs to space group P4/mmm (No. 123); the cell edges are 3.5525, 3.5525 and 4.9665 Å and the angles 90.00°, 90.00° and 90.00°. The inequivalent atoms are Sr at (0.0000, 0.0000, 0.0000), Cd at (0.5000, 0.5000, 0.5000), O at (0.0000, 0.0000, 0.5000) and O at (0.5000, 0.5000, 0.0000).


[6]
A plane-wave DFT calculation with PBE was carried out for crystalline RbSO2F at its relaxed geometry.

Its crystal system is monoclinic. For the uncorrected energy, the calculation gives -52.1 eV/cell.

The structure belongs to space group P2_1/m (No. 11); the cell edges are 4.8856, 6.0300 and 7.4003 Å and the angles 90.00°, 107.79° and 90.00°. The inequivalent atoms are Rb at (0.1568, 0.2500, 0.2848), S at (0.3990, 0.2500, 0.8161), O at (0.3348, 0.0470, 0.6983) and F at (0.2080, 0.7500, 0.1233).


[7]
A plane-wave DFT calculation with PBE was carried out for crystalline SrSmAlO4 at its relaxed geometry.

Its crystal system is tetragonal. For the uncorrected energy, the calculation gives -103.8 eV/cell.

The structure belongs to space group I4mm (No. 107); the cell edges are 3.7545, 3.7545 and 12.3551 Å and the angles 90.00°, 90.00° and 90.00°. The inequivalent atoms are Sr at (0.0000, 0.0000, 0.0000), Sm at (0.0000, 0.0000, 0.7157), Al at (0.0000, 0.0000, 0.3580), O at (0.0000, 0.0000, 0.1946), O at (0.0000, 0.0000, 0.5233) and O at (0.0000, 0.5000, 0.3482).


[8]
A plane-wave DFT calculation with PBE was carried out for crystalline Mg14ZnC at its relaxed geometry.

Its crystal system is orthorhombic. For the uncorrected energy, the calculation gives -60.6 eV/cell. The calculation puts the energy above the most stable polymorph in this dataset at 0 meV per atom.

The structure belongs to space group Amm2 (No. 38); the cell edges are 8.8688, 7.7189 and 9.9492 Å and the angles 90.00°, 90.00° and 90.00°. The inequivalent atoms are Mg at (0.0000, 0.0000, 0.0000), Mg at (0.0000, 0.0000, 0.4639), Mg at (0.0000, 0.2135, 0.7282), Mg at (0.2393, 0.0000, 0.2290), Mg at (0.2731, 0.0000, 0.8078), Mg at (0.3180, 0.1880, 0.5152), Mg at (0.5000, 0.2197, 0.2686), Zn at (0.5000, 0.0000, 0.0204) and C at (0.5000, 0.0000, 0.4135).


[9]
A plane-wave DFT calculation with PBE was carried out for crystalline Eu3Sb5O12 at its relaxed geometry.

Its crystal system is cubic. For the uncorrected energy, the calculation gives -598.5 eV/cell.

The structure belongs to space group I-43m (No. 217); the cell edges are 11.0481, 11.0481 and 11.0481 Å and the angles 90.00°, 90.00° and 90.00°. The inequivalent atoms are Eu at (0.0000, 0.2500, 0.5000), Sb at (0.0000, 0.0000, 0.2767), Sb at (0.2487, 0.2487, 0.7513), O at (0.1018, 0.1018, 0.6150) and O at (0.1363, 0.1363, 0.3339).


[10]
A plane-wave DFT calculation with PBE was carried out for crystalline Ta2CrRe at its relaxed geometry.

Its crystal system is cubic. For the uncorrected energy, the calculation gives -187.3 eV/cell.

The structure belongs to space group Fm-3m (No. 225); the cell edges are 6.3173, 6.3173 and 6.3173 Å and the angles 90.00°, 90.00° and 90.00°. The inequivalent atoms are Ta at (0.2500, 0.2500, 0.2500), Cr at (0.0000, 0.0000, 0.0000) and Re at (0.0000, 0.0000, 0.5000).


[11]
A plane-wave DFT calculation with PBE was carried out for crystalline Sr7H12Cl2 at its relaxed geometry.

Its crystal system is hexagonal. For the uncorrected energy, the calculation gives -73.7 eV/cell. Its piezoelectric modulus e_max is 0.2 C/m2.

The structure belongs to space group P-6 (No. 174); the cell edges are 9.9983, 9.9983 and 3.9536 Å and the angles 90.00°, 90.00° and 120.00°. The inequivalent atoms are Sr at (0.0000, 0.0000, 0.0000), Sr at (0.1164, 0.7174, 0.5000), Sr at (0.4119, 0.1070, 0.0000), H at (0.0490, 0.4394, 0.5000), H at (0.1190, 0.2762, 0.0000), H at (0.2155, 0.1123, 0.5000), H at (0.4252, 0.3652, 0.0000), Cl at (0.3333, 0.6667, 0.0000) and Cl at (0.6667, 0.3333, 0.5000).


[12]
A plane-wave DFT calculation with PBE was carried out for crystalline Dy2CuGe4O12 at its relaxed geometry.

Its crystal system is triclinic. For the uncorrected energy, the calculation gives -130.9 eV/cell.

The structure belongs to space group P-1 (No. 2); the cell edges are 4.9873, 7.2837 and 8.0087 Å and the angles 66.35°, 87.01° and 77.02°. The inequivalent atoms are Dy at (0.0452, 0.2696, 0.4519), Cu at (0.0000, 0.5000, 0.0000), Ge at (0.4196, 0.8831, 0.7951), Ge at (0.4596, 0.6679, 0.2232), O at (0.2115, 0.9245, 0.6089), O at (0.2256, 0.5668, 0.3877), O at (0.2487, 0.5079, 0.7969), O at (0.2543, 0.2753, 0.1936), O at (0.2661, 0.8079, 0.0105) and O at (0.4160, 0.1565, 0.7100).


[13]
A plane-wave DFT calculation with PBE was carried out for crystalline TcO2 at its relaxed geometry.

Its crystal system is tetragonal. For the uncorrected energy, the calculation gives -48.8 eV/cell. The calculation puts the energy above the most stable polymorph in this dataset at 48 meV per atom.

The structure belongs to space group P4_2/mnm (No. 136); the cell edges are 4.8497, 4.8497 and 2.7864 Å and the angles 90.00°, 90.00° and 90.00°. The inequivalent atoms are Tc at (0.0000, 0.0000, 0.0000) and O at (0.2150, 0.2150, 0.5000).


[14]
A plane-wave DFT calculation with PBE was carried out for crystalline Er3SiSe2O10F at its relaxed geometry.

Its crystal system is orthorhombic. For the uncorrected energy, the calculation gives -488.8 eV/cell.

The structure belongs to space group Pnna (No. 52); the cell edges are 5.9116, 15.4500 and 10.3585 Å and the angles 90.00°, 90.00° and 90.00°. The inequivalent atoms are Er at (0.0702, 0.1522, 0.1131), Er at (0.2500, 0.0000, 0.3724), Si at (0.2500, 0.0000, 0.8581), Se at (0.0301, 0.1749, 0.6161), O at (0.0188, 0.0858, 0.5148), O at (0.0223, 0.5270, 0.7248), O at (0.1198, 0.7449, 0.4671), O at (0.1829, 0.6387, 0.2176), O at (0.2322, 0.0887, 0.9472) and F at (0.0603, 0.7500, 0.7500).


[15]
A plane-wave DFT calculation with PBE was carried out for crystalline LiMg2 at its relaxed geometry.

Its crystal system is hexagonal. For the uncorrected energy, the calculation gives -10.4 eV/cell.

The structure belongs to space group P-6m2 (No. 187); the cell edges are 3.1713, 3.1713 and 15.0225 Å and the angles 90.00°, 90.00° and 120.00°. The inequivalent atoms are Li at (0.0000, 0.0000, 0.1673), Mg at (0.0000, 0.0000, 0.5000), Mg at (0.3333, 0.6667, 0.0000) and Mg at (0.3333, 0.6667, 0.3308).


[16]
A plane-wave DFT calculation with PBE was carried out for crystalline NaSbO7 at its relaxed geometry.

Its crystal system is orthorhombic. For the uncorrected energy, the calculation gives -166.9 eV/cell. The calculation puts the energy above the most stable polymorph in this dataset at 142 meV per atom.

The structure belongs to space group Cmc2_1 (No. 36); the cell edges are 6.3953, 11.5957 and 6.8473 Å and the angles 90.00°, 90.00° and 90.00°. The inequivalent atoms are Na at (0.0000, 0.1828, 0.0000), Sb at (0.0000, 0.1425, 0.4786), O at (0.0000, 0.0028, 0.3206), O at (0.0000, 0.3942, 0.6149), O at (0.0000, 0.4780, 0.5078), O at (0.2311, 0.2169, 0.3343) and O at (0.2320, 0.1180, 0.6749).


[17]
A plane-wave DFT calculation with PBE was carried out for crystalline Be2TlF5 at its relaxed geometry.

Its crystal system is monoclinic. For the uncorrected energy, the calculation gives -170.8 eV/cell.

The structure belongs to space group C2/c (No. 15); the cell edges are 8.1859, 4.7150 and 12.8052 Å and the angles 90.00°, 91.27° and 90.00°. The inequivalent atoms are Be at (0.1678, 0.0246, 0.2047), Tl at (0.0000, 0.5000, 0.0000), F at (0.0000, 0.0770, 0.7500), F at (0.1708, 0.0057, 0.5869) and F at (0.1933, 0.3450, 0.2385).


[18]
A plane-wave DFT calculation with PBE was carried out for crystalline Mg2Si at its relaxed geometry.

Its crystal system is triclinic. For the uncorrected energy, the calculation gives -34.0 eV/cell.

The structure belongs to space group P-1 (No. 2); the cell edges are 5.7679, 6.0303 and 7.6050 Å and the angles 87.18°, 69.00° and 72.08°. The inequivalent atoms are Mg at (0.1806, 0.3234, 0.1272), Mg at (0.1816, 0.8206, 0.1029), Mg at (0.2202, 0.8215, 0.5378), Mg at (0.2340, 0.3170, 0.5087), Si at (0.3950, 0.4834, 0.7823) and Si at (0.3963, 0.0657, 0.7826).